Entry 1:
Entry from the Materials Project: crystalline UBiSb at its relaxed geometry (PBE).

Cell lengths 4.4197, 4.4197, 8.8240 Å; angles 90.00, 90.00, 90.00 degrees
Space group P4/nmm (No. 129, origin choice 2)
Asymmetric unit:
U: 0.2500 0.2500 0.2065
Bi: 0.2500 0.7500 0.5000
Sb: 0.2500 0.2500 0.8530

Values from the calculation:
E_form (meV per atom): -160

Entry 2:
Entry from the Materials Project: crystalline GdUAl4 at its relaxed geometry (PBE).

Cell lengths 7.8354, 7.8354, 7.8354 Å; angles 90.00, 90.00, 90.00 degrees
Space group F-43m (No. 216)
Asymmetric unit:
Gd: 0.0000 0.0000 0.0000
U: 0.2500 0.2500 0.7500
Al: 0.1245 0.1245 0.3755

Values from the calculation:
E_form (meV per atom): -258

Entry 3:
Entry from the Materials Project: crystalline MgTi2O4 at its relaxed geometry (PBE).

Cell lengths 5.9795, 5.9795, 15.0325 Å; angles 90.00, 90.00, 120.00 degrees
Space group P3m1 (No. 156)
Asymmetric unit:
Mg: 0.0000 0.0000 0.0000
Mg: 0.0000 0.0000 0.2527
Mg: 0.0000 0.0000 0.6278
Mg: 0.3333 0.6667 0.5841
Mg: 0.6667 0.3333 0.2902
Mg: 0.6667 0.3333 0.9302
Ti: 0.0113 0.5056 0.1281
Ti: 0.1788 0.3575 0.8004
Ti: 0.3333 0.6667 0.3405
Ti: 0.3333 0.6667 0.9508
Ti: 0.3444 0.1722 0.4634
Ti: 0.6667 0.3333 0.6788
O: 0.0000 0.0000 0.3871
O: 0.0000 0.0000 0.8669
O: 0.0050 0.5025 0.8783
O: 0.1553 0.3106 0.5377
O: 0.1798 0.3595 0.0460
O: 0.3189 0.1594 0.7158
O: 0.3333 0.6667 0.2139
O: 0.3333 0.6667 0.7149
O: 0.3560 0.1780 0.2037
O: 0.5071 0.0142 0.3790
O: 0.6667 0.3333 0.0587
O: 0.6667 0.3333 0.5529

Values from the calculation:
Polymorph energy (0 for the lowest one) (eV/atom): 0.013
E_form (meV per atom): -3208

Entry 4:
Entry from the Materials Project: crystalline Er3AlN at its relaxed geometry (PBE).

Cell lengths 4.7154, 4.7154, 4.7154 Å; angles 90.00, 90.00, 90.00 degrees
Space group Pm-3m (No. 221)
Asymmetric unit:
Er: 0.0000 0.0000 0.5000
Al: 0.5000 0.5000 0.5000
N: 0.0000 0.0000 0.0000

Values from the calculation:
E_form (meV per atom): -1015

Entry 5:
Entry from the Materials Project: crystalline BaCo2N2 at its relaxed geometry (PBE).

Cell lengths 6.0881, 6.0881, 9.1373 Å; angles 90.00, 90.00, 90.00 degrees
Space group I4/mcm (No. 140)
Asymmetric unit:
Ba: 0.0000 0.0000 0.2500
Co: 0.1324 0.3676 0.0000
N: 0.1637 0.3363 0.5000

Values from the calculation:
E_form (meV per atom): -510

Entry 6:
Entry from the Materials Project: crystalline Eu4Ir at its relaxed geometry (PBE).

Cell lengths 9.1614, 9.1614, 8.4426 Å; angles 90.00, 90.00, 90.00 degrees
Space group I4_1/amd (No. 141, origin choice 2)
Asymmetric unit:
Eu: 0.0000 0.0555 0.1951
Ir: 0.0000 0.2500 0.8750

Values from the calculation:
E_form (meV per atom): -299

Entry 7:
Entry from the Materials Project: crystalline PrInPt at its relaxed geometry (PBE).

Cell lengths 7.7711, 7.7711, 4.1064 Å; angles 90.00, 90.00, 120.00 degrees
Space group P-62m (No. 189)
Asymmetric unit:
Pr: 0.0000 0.5916 0.0000
In: 0.0000 0.2511 0.5000
Pt: 0.0000 0.0000 0.0000
Pt: 0.3333 0.6667 0.5000

Values from the calculation:
E_form (meV per atom): -936

Entry 8:
Entry from the Materials Project: crystalline Sr3Ga4Ir4 at its relaxed geometry (PBE).

Cell lengths 7.8244, 7.8244, 7.8244 Å; angles 90.00, 90.00, 90.00 degrees
Space group I-43m (No. 217)
Asymmetric unit:
Sr: 0.0000 0.0000 0.5000
Ga: 0.1926 0.1926 0.8074
Ir: 0.1270 0.1270 0.1270

Values from the calculation:
E_form (meV per atom): -559

Entry 9:
Entry from the Materials Project: crystalline MoWSeS3 at its relaxed geometry (PBE).

Cell lengths 3.2199, 3.2199, 36.3595 Å; angles 90.00, 90.00, 120.00 degrees
Space group P3m1 (No. 156)
Asymmetric unit:
Mo: 0.0000 0.0000 0.0000
Mo: 0.0000 0.0000 0.3757
W: 0.3333 0.6667 0.1879
W: 0.3333 0.6667 0.5636
Se: 0.3333 0.6667 0.0471
Se: 0.3333 0.6667 0.9529
S: 0.0000 0.0000 0.1449
S: 0.0000 0.0000 0.2308
S: 0.0000 0.0000 0.5207
S: 0.0000 0.0000 0.6066
S: 0.3333 0.6667 0.3330
S: 0.3333 0.6667 0.4185

Values from the calculation:
Polymorph energy (0 for the lowest one) (eV/atom): 0.000
E_form (meV per atom): -1035

Entry 10:
Entry from the Materials Project: crystalline Pr4Co3B6 at its relaxed geometry (PBE).

Cell lengths 5.3809, 5.3809, 23.0031 Å; angles 90.00, 90.00, 120.00 degrees
Space group R-3m (No. 166, hexagonal axes)
Asymmetric unit:
Pr: 0.0000 0.0000 0.0906
Pr: 0.0000 0.0000 0.2431
Co: 0.0000 0.0000 0.3850
Co: 0.0000 0.0000 0.5000
B: 0.0000 0.3327 0.0000

Values from the calculation:
E_form (meV per atom): -237

Entry 11:
Entry from the Materials Project: crystalline CsReO4 at its relaxed geometry (PBE).

Cell lengths 5.9643, 6.1625, 14.6657 Å; angles 90.00, 90.00, 90.00 degrees
Space group Pnma (No. 62)
Asymmetric unit:
Cs: 0.0228 0.2500 0.1281
Re: 0.0340 0.7500 0.3808
O: 0.0172 0.0172 0.6850
O: 0.1458 0.2500 0.5246
O: 0.1851 0.2500 0.9176

Values from the calculation:
E_form (meV per atom): -2358

Entry 12:
Entry from the Materials Project: crystalline Dy11Cd45 at its relaxed geometry (PBE).

Cell lengths 21.7762, 21.7762, 21.7762 Å; angles 90.00, 90.00, 90.00 degrees
Space group F-43m (No. 216)
Asymmetric unit:
Dy: 0.0000 0.0000 0.0000
Dy: 0.0137 0.1736 0.8264
Dy: 0.0936 0.0936 0.5936
Dy: 0.1621 0.1621 0.3379
Dy: 0.2500 0.2500 0.7500
Cd: 0.0000 0.0000 0.1563
Cd: 0.0000 0.0000 0.5000
Cd: 0.0125 0.1730 0.3270
Cd: 0.0453 0.0453 0.3595
Cd: 0.0627 0.0627 0.7368
Cd: 0.0833 0.0833 0.9167
Cd: 0.0843 0.0843 0.2360
Cd: 0.0867 0.0867 0.0867
Cd: 0.0886 0.2500 0.2500
Cd: 0.1093 0.2042 0.7042
Cd: 0.1634 0.1634 0.8366
Cd: 0.1699 0.1699 0.1699
Cd: 0.2500 0.2500 0.2500

Values from the calculation:
E_form (meV per atom): -230